This record from the Materials Project database describes VP2 after structural relaxation. The functional is meta-GGA r2SCAN.

Lattice parameters (Å, degrees): 8.411 3.115 7.155 90.00 119.25 90.00
Space group C2/m (No. 12)
Symmetry-distinct sites (fractional):
V (0.157, 0.000, 0.198)
P (0.101, 0.500, 0.903)
P (0.142, 0.000, 0.530)



This record from the Materials Project database describes PW after structural relaxation. The functional is meta-GGA r2SCAN.

Lattice parameters (Å, degrees): 5.742 3.271 6.203 90.00 90.00 90.00
Space group Pnma (No. 62)
Symmetry-distinct sites (fractional):
P (0.186, 0.250, 0.068)
W (0.014, 0.250, 0.687)



no.,energy of formation (eV/atom)
1,-0.633
2,-0.364